Entry 1:
TbPb3 | r2SCAN | relaxed

It has space group Pm-3m (No. 221), with a = 4.855 Å, b = 4.855 Å, c = 4.855 Å, α = 90.00°, β = 90.00° and γ = 90.00°. The inequivalent atoms are Tb at (0.000, 0.000, 0.000) and Pb at (0.000, 0.500, 0.500).


Entry 2:
W | r2SCAN | relaxed

It has space group Pm-3n (No. 223), with a = 5.062 Å, b = 5.062 Å, c = 5.062 Å, α = 90.00°, β = 90.00° and γ = 90.00°. The inequivalent atoms are W at (0.000, 0.000, 0.000) and W at (0.000, 0.250, 0.500).


Entry 3:
Mn2CrCo | r2SCAN | relaxed

It has space group Fm-3m (No. 225), with a = 5.885 Å, b = 5.885 Å, c = 5.885 Å, α = 90.00°, β = 90.00° and γ = 90.00°. The inequivalent atoms are Mn at (0.250, 0.250, 0.250), Cr at (0.000, 0.000, 0.000) and Co at (0.000, 0.000, 0.500).


Entry 4:
Ce2US5 | r2SCAN | relaxed

It has space group Pnma (No. 62), with a = 11.904 Å, b = 8.205 Å, c = 7.542 Å, α = 90.00°, β = 90.00° and γ = 90.00°. The inequivalent atoms are Ce at (0.176, 0.000, 0.029), U at (0.009, 0.250, 0.570), S at (0.001, 0.250, 0.955), S at (0.093, 0.540, 0.665), S at (0.188, 0.250, 0.335) and S at (0.214, 0.750, 0.309).


Entry 5:
CaCl2 | r2SCAN | relaxed

It has space group Pnnm (No. 58), with a = 6.311 Å, b = 6.466 Å, c = 4.179 Å, α = 90.00°, β = 90.00° and γ = 90.00°. The inequivalent atoms are Ca at (0.000, 0.000, 0.000) and Cl at (0.218, 0.175, 0.500).


Entry 6:
SmMgRh2 | r2SCAN | relaxed

It has space group Fm-3m (No. 225), with a = 6.603 Å, b = 6.603 Å, c = 6.603 Å, α = 90.00°, β = 90.00° and γ = 90.00°. The inequivalent atoms are Sm at (0.000, 0.000, 0.000), Mg at (0.000, 0.000, 0.500) and Rh at (0.250, 0.250, 0.250).


Entry 7:
Er5Ge2Sb2 | r2SCAN | relaxed

It has space group Cmce (No. 64), with a = 14.918 Å, b = 7.837 Å, c = 7.856 Å, α = 90.00°, β = 90.00° and γ = 90.00°. The inequivalent atoms are Er at (0.000, 0.000, 0.000), Er at (0.126, 0.161, 0.339), Ge at (0.000, 0.143, 0.642) and Sb at (0.204, 0.000, 0.000).


Entry 8:
PuPaO4 | r2SCAN | relaxed

It has space group Ima2 (No. 46), with a = 5.461 Å, b = 10.819 Å, c = 5.443 Å, α = 90.00°, β = 90.00° and γ = 90.00°. The inequivalent atoms are Pu at (0.250, 0.125, 0.000), Pa at (0.250, 0.625, 0.000), O at (0.000, 0.000, 0.266), O at (0.000, 0.000, 0.739) and O at (0.014, 0.749, 0.748).


Number 1: uncorrected energy -50.398 eV per atom, formation energy from the elements -0.3777 eV per atom. Number 2: uncorrected energy -51.241 eV per atom, formation energy from the elements 0.1269 eV per atom. Number 3: uncorrected energy -14.662 eV per atom, formation energy from the elements -0.2431 eV per atom. Number 4: uncorrected energy -24.958 eV per atom, formation energy from the elements -2.2339 eV per atom. Number 5: uncorrected energy -9.094 eV per atom, formation energy from the elements -2.6462 eV per atom. Number 6: uncorrected energy -21.177 eV per atom, formation energy from the elements -0.6336 eV per atom. Number 7: uncorrected energy -28.743 eV per atom, formation energy from the elements -1.1002 eV per atom. Number 8: uncorrected energy -35.114 eV per atom, formation energy from the elements -3.9301 eV per atom.